Ho2NiIr | meta-GGA r2SCAN | relaxed

Geometry as extended XYZ:
```
4
Lattice="0.000 3.364 3.364 3.364 0.000 3.364 3.364 3.364 0.000" Properties=species:S:1:pos:R:3 pbc="T T T"
Ho 1.682 1.682 1.682
Ho 5.047 5.047 5.047
Ni 0.000 0.000 0.000
Ir 3.364 3.364 3.364
```

## Properties
* M_tot: 0.00 Bohr magnetons per cell
* space group: No. 225

PmHoIr2 | meta-GGA r2SCAN | relaxed

Geometry as extended XYZ:
```
4
Lattice="0.000 3.453 3.453 3.453 0.000 3.453 3.453 3.453 0.000" Properties=species:S:1:pos:R:3 pbc="T T T"
Pm 0.000 0.000 0.000
Ho 3.453 3.453 3.453
Ir 1.726 1.726 1.726
Ir 5.179 5.179 5.179
```

## Properties
* M_tot: 0.34 Bohr magnetons per cell
* space group: No. 225

HoSi3Ir | meta-GGA r2SCAN | relaxed

Geometry as extended XYZ:
```
5
Lattice="-2.079 2.079 4.888 2.079 -2.079 4.888 2.079 2.079 -4.888" Properties=species:S:1:pos:R:3 pbc="T T T"
Ho 0.000 0.000 0.000
Si 2.079 0.000 2.614
Si 0.000 0.000 4.075
Si 0.000 2.079 2.614
Ir 0.000 0.000 6.393
```

## Properties
* M_tot: 0.00 Bohr magnetons per cell
* space group: No. 107

HoSi2Ir2 | meta-GGA r2SCAN | relaxed

Geometry as extended XYZ:
```
5
Lattice="-2.030 2.030 4.942 2.030 -2.030 4.942 2.030 2.030 -4.942" Properties=species:S:1:pos:R:3 pbc="T T T"
Ho 0.000 0.000 0.000
Si 0.000 0.000 3.743
Si 0.000 0.000 6.141
Ir 2.030 0.000 2.471
Ir 0.000 2.030 2.471
```

## Properties
* M_tot: 0.00 Bohr magnetons per cell
* space group: No. 139

TbHoIr2 | meta-GGA r2SCAN | relaxed

Geometry as extended XYZ:
```
4
Lattice="0.000 3.408 3.408 3.408 0.000 3.408 3.408 3.408 0.000" Properties=species:S:1:pos:R:3 pbc="T T T"
Tb 0.000 0.000 0.000
Ho 3.408 3.408 3.408
Ir 1.704 1.704 1.704
Ir 5.112 5.112 5.112
```

## Properties
* M_tot: 0.00 Bohr magnetons per cell
* space group: No. 225

La3Ho | meta-GGA r2SCAN | relaxed

Geometry as extended XYZ:
```
4
Lattice="-2.608 2.608 5.245 2.608 -2.608 5.245 2.608 2.608 -5.245" Properties=species:S:1:pos:R:3 pbc="T T T"
La 0.000 0.000 0.000
La 2.608 0.000 2.623
La 0.000 2.608 2.623
Ho 0.000 0.000 5.245
```

## Properties
* M_tot: 0.00 Bohr magnetons per cell
* space group: No. 139

LaHoRu2 | meta-GGA r2SCAN | relaxed

Geometry as extended XYZ:
```
4
Lattice="0.000 3.453 3.453 3.453 0.000 3.453 3.453 3.453 0.000" Properties=species:S:1:pos:R:3 pbc="T T T"
La 0.000 0.000 0.000
Ho 3.453 3.453 3.453
Ru 1.726 1.726 1.726
Ru 5.179 5.179 5.179
```

## Properties
* M_tot: 0.00 Bohr magnetons per cell
* space group: No. 225

LaHo3S6 | meta-GGA r2SCAN | relaxed

Geometry as extended XYZ:
```
20
Lattice="11.065 0.000 0.000 0.000 3.995 0.000 -3.660 0.000 10.720" Properties=species:S:1:pos:R:3 pbc="T T T"
La -0.152 0.999 2.094
La 7.557 2.997 8.626
Ho -0.367 0.999 6.307
Ho -0.100 2.997 10.708
Ho 3.701 0.999 3.574
Ho 3.704 2.997 7.145
Ho 7.504 0.999 0.012
Ho 7.772 2.997 4.413
S -0.585 2.997 4.378
S -2.186 0.999 10.327
S -0.550 2.997 8.028
S 2.145 2.997 2.464
S 2.312 0.999 5.969
S 4.883 0.999 1.193
S 2.522 2.997 9.527
S 5.093 2.997 4.751
S 5.260 0.999 8.256
S 7.955 0.999 2.692
S 9.591 2.997 0.393
S 7.990 0.999 6.342
```

## Properties
* M_tot: 0.00 Bohr magnetons per cell
* space group: No. 11

| no. | formation energy (kJ per mole of atoms) |
| --- | --- |
| 1 | -70 |
| 2 | -80 |
| 3 | -79 |
| 4 | -114 |
| 5 | -91 |
| 6 | 3 |
| 7 | -21 |
| 8 | -235 |